Model A:
# Ba3SrTa2O9, optimized geometry, DFT PBE-GGA
# Volume ... 511.57 Å³ per cell
# Size of the total moment ... 0.00 μB/f.u.
data_Ba3SrTa2O9
_symmetry_space_group_name_H-M 'P 63/m'
_symmetry_Int_Tables_number 176
_symmetry_space_group_name_Hall '-P 6c'
_cell_length_a 6.1508
_cell_length_b 6.1508
_cell_length_c 15.6139
_cell_angle_alpha 90.00
_cell_angle_beta 90.00
_cell_angle_gamma 120.00
loop_
_atom_site_label
_atom_site_fract_x
_atom_site_fract_y
_atom_site_fract_z
Ba1 0.0000 0.0000 0.2500
Ba2 0.3333 0.6667 0.1192
Sr1 0.0000 0.0000 0.0000
Ta1 0.3333 0.6667 0.6545
O1 0.0456 0.4751 0.7500
O2 0.1148 0.7588 0.5981



Model B:
# Ba3SrTa2O9, optimized geometry, DFT PBE-GGA
# Volume ... 241.09 Å³ per cell
# Size of the total moment ... 0.00 μB/f.u.
data_Ba3SrTa2O9
_symmetry_space_group_name_H-M 'P -3 m 1'
_symmetry_Int_Tables_number 164
_symmetry_space_group_name_Hall '-P 3 2"'
_cell_length_a 6.0219
_cell_length_b 6.0219
_cell_length_c 7.6768
_cell_angle_alpha 90.00
_cell_angle_beta 90.00
_cell_angle_gamma 120.00
loop_
_atom_site_label
_atom_site_fract_x
_atom_site_fract_y
_atom_site_fract_z
Ba1 0.0000 0.0000 0.0000
Ba2 0.3333 0.6667 0.6950
Sr1 0.0000 0.0000 0.5000
Ta1 0.3333 0.6667 0.1656
O1 0.0000 0.5000 0.0000
O2 0.1779 0.3557 0.2993



Which of them is the most stable, and which is the least stable? model A and model B, in that order.



Model A:
# Ba2SrUO6, optimized geometry, DFT PBE-GGA
# Volume ... 539.34 Å³ per cell
# Size of the total moment ... 0.00 μB/f.u.
data_Ba2SrUO6
_symmetry_space_group_name_H-M 'R -3'
_symmetry_Int_Tables_number 148
_symmetry_space_group_name_Hall '-R 3'
_cell_length_a 6.3945
_cell_length_b 6.3945
_cell_length_c 15.2307
_cell_angle_alpha 90.00
_cell_angle_beta 90.00
_cell_angle_gamma 120.00
loop_
_atom_site_label
_atom_site_fract_x
_atom_site_fract_y
_atom_site_fract_z
Ba1 0.0000 0.0000 0.2466
Sr1 0.0000 0.0000 0.5000
U1 0.0000 0.0000 0.0000
O1 0.0335 0.4409 0.7452



Model B:
# Ba2SrUO6, optimized geometry, DFT PBE-GGA
# Volume ... 727.19 Å³ per cell
# Size of the total moment ... 0.00 μB/f.u.
data_Ba2SrUO6
_symmetry_space_group_name_H-M 'F m -3 m'
_symmetry_Int_Tables_number 225
_symmetry_space_group_name_Hall '-F 4 2 3'
_cell_length_a 8.993
_cell_length_b 8.993
_cell_length_c 8.993
_cell_angle_alpha 90.00
_cell_angle_beta 90.00
_cell_angle_gamma 90.00
loop_
_atom_site_label
_atom_site_fract_x
_atom_site_fract_y
_atom_site_fract_z
Ba1 0.250 0.250 0.250
Sr1 0.000 0.000 0.000
U1 0.000 0.000 0.500
O1 0.000 0.000 0.268



Model C:
# Ba2SrUO6, optimized geometry, DFT PBE-GGA
# Volume ... 358.64 Å³ per cell
# Size of the total moment ... 0.00 μB/f.u.
data_Ba2SrUO6
_symmetry_space_group_name_H-M 'P 1 21/c 1'
_symmetry_Int_Tables_number 14
_symmetry_space_group_name_Hall '-P 2ybc'
_cell_length_a 6.300
_cell_length_b 6.372
_cell_length_c 10.910
_cell_angle_alpha 90.00
_cell_angle_beta 125.03
_cell_angle_gamma 90.00
loop_
_atom_site_label
_atom_site_fract_x
_atom_site_fract_y
_atom_site_fract_z
Ba1 0.242 0.035 0.251
Sr1 0.500 0.000 0.000
U1 0.000 0.000 0.500
O1 0.136 0.235 0.948
O2 0.223 0.690 0.958
O3 0.314 0.031 0.726



Which of them is the most stable, and which is the least stable? model C and model B, in that order.



Model A:
# Ba2Ta2O7, optimized geometry, DFT PBE-GGA
# Volume ... 675.42 Å³ per cell
# Size of the total moment ... 0.00 μB/f.u.
data_Ba2Ta2O7
_symmetry_space_group_name_H-M 'I m m a'
_symmetry_Int_Tables_number 74
_symmetry_space_group_name_Hall '-I 2b 2'
_cell_length_a 7.727
_cell_length_b 10.824
_cell_length_c 8.075
_cell_angle_alpha 90.00
_cell_angle_beta 90.00
_cell_angle_gamma 90.00
loop_
_atom_site_label
_atom_site_fract_x
_atom_site_fract_y
_atom_site_fract_z
Ba1 0.000 0.000 0.000
Ba2 0.250 0.250 0.250
Ta1 0.000 0.000 0.500
Ta2 0.250 0.250 0.750
O1 0.000 0.090 0.290
O2 0.000 0.250 0.834
O3 0.189 0.119 0.582



Model B:
# Ba2Ta2O7, optimized geometry, DFT PBE-GGA
# Volume ... 677.50 Å³ per cell
data_Ba2Ta2O7
_symmetry_space_group_name_H-M 'C m c m'
_symmetry_Int_Tables_number 63
_symmetry_space_group_name_Hall '-C 2c 2'
_cell_length_a 4.084
_cell_length_b 27.980
_cell_length_c 5.929
_cell_angle_alpha 90.00
_cell_angle_beta 90.00
_cell_angle_gamma 90.00
loop_
_atom_site_label
_atom_site_fract_x
_atom_site_fract_y
_atom_site_fract_z
Ba1 0.000 0.053 0.250
Ba2 0.000 0.208 0.750
Ta1 0.000 0.341 0.750
Ta2 0.000 0.445 0.250
O1 0.000 0.049 0.750
O2 0.000 0.151 0.250
O3 0.000 0.295 0.522
O4 0.000 0.400 0.001
O5 0.000 0.500 0.000



Which of them is the most stable, and which is the least stable? model B and model A, in that order.



Model A:
# Ba4Ta2O9, optimized geometry, DFT PBE-GGA
# Volume ... 541.50 Å³ per cell
# Size of the total moment ... 0.00 μB/f.u.
data_Ba4Ta2O9
_symmetry_space_group_name_H-M 'P -3 c 1'
_symmetry_Int_Tables_number 165
_symmetry_space_group_name_Hall '-P 3 2"c'
_cell_length_a 6.2648
_cell_length_b 6.2648
_cell_length_c 15.9312
_cell_angle_alpha 90.00
_cell_angle_beta 90.00
_cell_angle_gamma 120.00
loop_
_atom_site_label
_atom_site_fract_x
_atom_site_fract_y
_atom_site_fract_z
Ba1 0.3333 0.6667 0.0322
Ba2 0.3333 0.6667 0.2947
Ta1 0.0000 0.0000 0.1525
O1 0.0000 0.2351 0.2500
O2 0.0363 0.2940 0.9025



Model B:
# Ba4Ta2O9, optimized geometry, DFT PBE-GGA
# Volume ... 551.13 Å³ per cell
data_Ba4Ta2O9
_symmetry_space_group_name_H-M 'P 63/m'
_symmetry_Int_Tables_number 176
_symmetry_space_group_name_Hall '-P 6c'
_cell_length_a 6.1349
_cell_length_b 6.1349
_cell_length_c 16.9090
_cell_angle_alpha 90.00
_cell_angle_beta 90.00
_cell_angle_gamma 120.00
loop_
_atom_site_label
_atom_site_fract_x
_atom_site_fract_y
_atom_site_fract_z
Ba1 0.0000 0.0000 0.0000
Ba2 0.0000 0.0000 0.2500
Ba3 0.3333 0.6667 0.1362
Ta1 0.3333 0.6667 0.6608
O1 0.0437 0.5601 0.7500
O2 0.1159 0.3536 0.6100



Which of them is the most stable, and which is the least stable? model B and model A, in that order.